Entry 1:
Below is an optimized crystal structure of NdMgO3, with properties calculated at the GGA-PBE level.

a b c (Å): 3.909 3.909 3.909
angles (deg): 90.00 90.00 90.00
Sites, in units of the cell vectors:
1 Mg 0.500 0.500 0.500
2 O 0.500 0.500 0.000
3 O 0.500 0.000 0.500
4 O 0.000 0.500 0.500
5 Nd 0.000 0.000 0.000

The energy relative to the elements is -14.2 eV per formula unit. The energy comes out at -33.35 eV for the cell shown. The space-group type is Pm-3m, No. 221.

=====

Entry 2:
Below is an optimized crystal structure of Nd4MgRh4O12, with properties calculated at the GGA-PBE level.

a b c (Å): 5.508 6.442 7.547
angles (deg): 90.00 90.00 86.81
Sites, in units of the cell vectors:
1 Rh 0.504 0.001 0.000
2 O 0.136 0.547 0.250
3 O 0.812 0.170 0.447
4 O 0.334 0.308 0.550
5 O 0.851 0.462 0.750
6 Rh 0.996 0.488 0.487
7 O 0.668 0.687 0.044
8 O 0.364 0.056 0.250
9 O 0.650 0.949 0.750
10 O 0.174 0.829 0.565
11 O 0.668 0.687 0.456
12 Nd 0.060 0.145 0.750
13 Mg 0.924 0.752 0.750
14 O 0.812 0.170 0.053
15 Rh 0.504 0.001 0.500
16 Nd 0.443 0.586 0.750
17 Nd 0.982 0.909 0.250
18 Rh 0.996 0.488 0.013
19 O 0.174 0.829 0.935
20 Nd 0.540 0.401 0.250
21 O 0.334 0.308 0.950

The energy relative to the elements is -49.3 eV per formula unit. Its energy above the most stable polymorph in this dataset is 0.0000 eV/atom. The energy comes out at -150.56 eV for the cell shown. The space-group type is Pm, No. 6.

=====

Entry 3:
Below is an optimized crystal structure of Nd4MgRh4O12, with properties calculated at the GGA-PBE level.

a b c (Å): 6.221 6.419 7.573
angles (deg): 90.00 90.00 107.43
Sites, in units of the cell vectors:
1 O 0.624 0.759 0.064
2 Nd 0.552 0.561 0.750
3 O 0.604 0.947 0.750
4 O 0.111 0.525 0.250
5 Nd 0.449 0.459 0.250
6 Nd 0.049 0.086 0.750
7 Rh 0.487 0.011 0.524
8 O 0.403 0.080 0.250
9 Rh 0.994 0.495 0.992
10 O 0.148 0.829 0.548
11 O 0.359 0.281 0.560
12 O 0.883 0.464 0.750
13 Rh 0.994 0.495 0.508
14 Mg 0.693 0.020 0.250
15 O 0.838 0.174 0.032
16 O 0.624 0.759 0.436
17 Nd 0.044 0.853 0.250
18 O 0.838 0.174 0.468
19 O 0.359 0.281 0.940
20 Rh 0.487 0.011 0.976
21 O 0.148 0.829 0.952

The energy relative to the elements is -47.6 eV per formula unit. Its energy above the most stable polymorph in this dataset is 0.0809 eV/atom. The energy comes out at -148.86 eV for the cell shown. The space-group type is Pm, No. 6.

=====

Entry 4:
Below is an optimized crystal structure of Nd2MgTi2S2O5, with properties calculated at the GGA-PBE level.

a b c (Å): 3.855 3.855 14.388
angles (deg): 90.49 90.49 89.99
Sites, in units of the cell vectors:
1 O 0.901 0.402 0.160
2 S 0.406 0.406 0.381
3 Ti 0.905 0.905 0.861
4 O 0.906 0.906 0.987
5 Nd 0.908 0.908 0.436
6 O 0.403 0.904 0.815
7 S 0.896 0.896 0.625
8 Mg 0.402 0.402 0.203
9 O 0.904 0.403 0.815
10 Ti 0.900 0.900 0.113
11 Nd 0.400 0.400 0.718
12 O 0.402 0.901 0.160

The energy relative to the elements is -35.7 eV per formula unit. Its energy above the most stable polymorph in this dataset is 0.0000 eV/atom. The energy comes out at -91.24 eV for the cell shown. The space-group type is Cm, No. 8.